Sr4Fe2CoNiO12, optimized geometry, DFT PBE with a Hubbard U; calculated formation energy = -2035 meV per atom
1.0
2.759 1.593 9.037
-2.759 1.593 9.037
0.000 -3.186 9.037
Sr Fe Co Ni O
4 2 1 1 12
Direct
0.000 0.000 0.000
0.249 0.249 0.249
0.498 0.498 0.498
0.749 0.749 0.749
0.624 0.624 0.624
0.873 0.873 0.873
0.375 0.375 0.375
0.124 0.124 0.124
0.007 0.496 0.496
0.247 0.750 0.750
0.252 0.252 0.737
0.252 0.737 0.252
0.496 0.007 0.496
0.496 0.496 0.007
0.505 0.997 0.997
0.737 0.252 0.252
0.750 0.247 0.750
0.750 0.750 0.247
0.997 0.505 0.997
0.997 0.997 0.505


Fe2CoO4, optimized geometry, DFT PBE with a Hubbard U; calculated formation energy = -1512 meV per atom; offset from the most stable computed form = 64 meV/atom
1.0
5.203 -3.031 0.000
5.203 3.031 0.000
-3.614 0.000 19.648
Fe Co O
16 8 32
Direct
0.000 0.000 0.000
0.217 0.723 0.657
0.223 0.723 0.158
0.244 0.244 0.751
0.447 0.447 0.315
0.472 0.979 0.409
0.473 0.970 0.907
0.504 0.504 0.505
0.592 0.592 0.784
0.695 0.695 0.066
0.723 0.217 0.657
0.723 0.223 0.158
0.751 0.751 0.252
0.853 0.853 0.536
0.970 0.473 0.907
0.979 0.472 0.409
0.099 0.099 0.284
0.198 0.198 0.564
0.223 0.223 0.158
0.347 0.347 0.032
0.473 0.473 0.908
0.724 0.724 0.657
0.944 0.944 0.813
0.975 0.975 0.409
0.023 0.023 0.592
0.031 0.031 0.100
0.035 0.567 0.599
0.052 0.534 0.098
0.148 0.665 0.471
0.160 0.645 0.967
0.163 0.163 0.966
0.166 0.166 0.462
0.279 0.279 0.849
0.283 0.283 0.350
0.290 0.800 0.350
0.314 0.775 0.847
0.395 0.912 0.219
0.404 0.884 0.717
0.410 0.410 0.721
0.415 0.415 0.216
0.528 0.528 0.603
0.531 0.531 0.100
0.534 0.052 0.098
0.567 0.035 0.599
0.645 0.160 0.967
0.665 0.148 0.471
0.665 0.665 0.967
0.678 0.678 0.475
0.771 0.771 0.846
0.775 0.314 0.847
0.783 0.783 0.352
0.800 0.290 0.350
0.884 0.404 0.717
0.912 0.395 0.219
0.915 0.915 0.711
0.916 0.916 0.217


no.,total energy (eV/f.u.)
1,-119.74
2,-45.52